one) GaSb: optimized geometry, PBE.

Properties
- Space-group type: P1 (1)
- Total magnetic moment: 0.00 μB per formula unit

a = 13.466 Å, b = 14.272 Å, c = 14.225 Å
α = 89.35°, β = 92.82°, γ = 94.46°
Fractional positions:
Ga 0.003 0.219 0.153
Ga 0.556 0.410 0.088
Ga 0.477 0.091 0.099
Ga 0.785 0.816 0.900
Ga 0.160 0.314 0.207
Ga 0.987 0.525 0.605
Ga 0.851 0.641 0.935
Ga 0.887 0.668 0.549
Ga 0.817 0.319 0.792
Ga 0.689 0.246 0.475
Ga 0.356 0.564 0.974
Ga 0.340 0.050 0.702
Ga 0.179 0.550 0.551
Ga 0.324 0.935 0.102
Ga 0.973 0.637 0.321
Ga 0.291 0.760 0.938
Ga 0.616 0.158 0.625
Ga 0.331 0.173 0.426
Ga 0.366 0.896 0.797
Ga 0.001 0.924 0.745
Ga 0.186 0.639 0.060
Ga 0.052 0.796 0.620
Ga 0.275 0.439 0.845
Ga 0.191 0.296 0.009
Ga 0.205 0.291 0.378
Ga 0.547 0.972 0.609
Ga 0.751 0.401 0.089
Ga 0.149 0.879 0.296
Ga 0.738 0.332 0.278
Ga 0.115 0.367 0.567
Ga 0.082 0.546 0.765
Ga 0.290 0.543 0.317
Ga 0.689 0.942 0.981
Ga 0.285 0.078 0.251
Ga 0.747 0.111 0.933
Ga 0.781 0.179 0.180
Ga 0.275 0.772 0.172
Ga 0.978 0.856 0.934
Ga 0.241 0.463 0.106
Ga 0.868 0.331 0.425
Ga 0.983 0.022 0.491
Ga 0.856 0.513 0.407
Ga 0.258 0.087 0.013
Ga 0.194 0.760 0.760
Ga 0.070 0.141 0.973
Ga 0.671 0.510 0.553
Ga 0.512 0.069 0.435
Ga 0.338 0.234 0.149
Ga 0.690 0.013 0.755
Ga 0.252 0.827 0.579
Sb 0.090 0.037 0.156
Sb 0.616 0.804 0.244
Sb 0.280 0.595 0.719
Sb 0.660 0.002 0.168
Sb 0.166 0.709 0.442
Sb 0.631 0.494 0.305
Sb 0.172 0.933 0.892
Sb 0.411 0.145 0.887
Sb 0.054 0.676 0.905
Sb 0.030 0.482 0.024
Sb 0.728 0.067 0.393
Sb 0.482 0.917 0.968
Sb 0.972 0.826 0.428
Sb 0.674 0.763 0.740
Sb 0.457 0.949 0.274
Sb 0.314 0.435 0.471
Sb 0.707 0.664 0.418
Sb 0.434 0.528 0.182
Sb 0.747 0.476 0.886
Sb 0.025 0.224 0.449
Sb 0.073 0.370 0.850
Sb 0.509 0.653 0.501
Sb 0.637 0.213 0.809
Sb 0.273 0.319 0.690
Sb 0.398 0.327 0.973
Sb 0.743 0.738 0.089
Sb 0.469 0.736 0.094
Sb 0.822 0.075 0.596
Sb 0.194 0.153 0.793
Sb 0.922 0.071 0.841
Sb 0.623 0.560 0.737
Sb 0.647 0.883 0.470
Sb 0.358 0.727 0.351
Sb 0.862 0.576 0.133
Sb 0.155 0.995 0.602
Sb 0.932 0.081 0.292
Sb 0.295 0.971 0.430
Sb 0.489 0.228 0.301
Sb 0.963 0.218 0.701
Sb 0.444 0.797 0.642
Sb 0.100 0.495 0.252
Sb 0.487 0.680 0.837
Sb 0.920 0.895 0.115
Sb 0.535 0.376 0.450
Sb 0.040 0.739 0.168
Sb 0.867 0.264 0.012
Sb 0.821 0.846 0.599
Sb 0.595 0.595 0.999
Sb 0.415 0.204 0.604
Sb 0.825 0.396 0.605

two) GaSb: optimized geometry, PBE.

Properties
- Space-group type: P6_3mc (186)

a = 4.384 Å, b = 4.384 Å, c = 7.207 Å
α = 90.00°, β = 90.00°, γ = 120.00°
Fractional positions:
Ga 0.667 0.333 0.500
Ga 0.333 0.667 0.000
Sb 0.667 0.333 0.875
Sb 0.333 0.667 0.375

Stability summary: most stable two), least stable one).

one) Ta5Ga3: optimized geometry, PBE.

Properties
- Space-group type: I4/mcm (140)
- Total magnetic moment: 0.01 μB per formula unit

a = 6.780 Å, b = 7.610 Å, c = 6.780 Å
α = 116.45°, β = 90.00°, γ = 116.45°
Fractional positions:
Ta 0.000 0.000 0.000
Ta 0.500 0.000 0.500
Ta 0.505 0.688 0.683
Ta 0.183 0.688 0.005
Ta 0.683 0.688 0.183
Ta 0.005 0.688 0.505
Ta 0.495 0.312 0.317
Ta 0.817 0.312 0.995
Ta 0.317 0.312 0.817
Ta 0.995 0.312 0.495
Ga 0.750 0.500 0.750
Ga 0.250 0.500 0.250
Ga 0.866 0.000 0.634
Ga 0.134 0.000 0.366
Ga 0.634 0.000 0.134
Ga 0.366 0.000 0.866

two) Ta5Ga3: optimized geometry, PBE.

Properties
- Space-group type: P6_3/mcm (193)
- Total magnetic moment: 0.01 μB per formula unit

a = 7.741 Å, b = 7.741 Å, c = 5.284 Å
α = 90.00°, β = 90.00°, γ = 120.00°
Fractional positions:
Ta 0.333 0.667 0.000
Ta 0.667 0.333 0.500
Ta 0.667 0.333 0.000
Ta 0.333 0.667 0.500
Ta 0.247 0.000 0.250
Ta 0.247 0.247 0.750
Ta 0.000 0.753 0.750
Ta 0.000 0.247 0.250
Ta 0.753 0.753 0.250
Ta 0.753 0.000 0.750
Ga 0.606 0.000 0.250
Ga 0.606 0.606 0.750
Ga 0.000 0.394 0.750
Ga 0.000 0.606 0.250
Ga 0.394 0.394 0.250
Ga 0.394 0.000 0.750

Stability summary: most stable one), least stable two).

one) ZnGa2Te4: optimized geometry, PBE.

Properties
- Largest piezoelectric modulus: 0.06 C/m²
- Space-group type: I-4 (82)

a = 7.388 Å, b = 7.388 Å, c = 7.388 Å
α = 131.47°, β = 131.47°, γ = 71.07°
Fractional positions:
Zn 0.000 0.000 0.000
Ga 0.500 0.500 0.000
Ga 0.250 0.750 0.500
Te 0.103 0.600 0.969
Te 0.866 0.897 0.497
Te 0.400 0.369 0.503
Te 0.631 0.134 0.031

two) ZnGa2Te4: optimized geometry, PBE.

Properties
- Space-group type: I-4m2 (119)
- Total magnetic moment: 0.06 μB per formula unit

a = 6.982 Å, b = 6.982 Å, c = 6.982 Å
α = 130.75°, β = 130.75°, γ = 72.21°
Fractional positions:
Zn 0.000 0.000 0.000
Ga 0.500 0.500 0.000
Ga 0.250 0.750 0.500
Te 0.003 0.503 0.500
Te 0.752 0.752 0.000
Te 0.497 0.997 0.500
Te 0.248 0.248 0.000

Stability summary: most stable one), least stable two).

one) Ti5Ga3: optimized geometry, PBE.

Properties
- Space-group type: I4/mcm (140)
- Total magnetic moment: 2.71 μB per formula unit

a = 4.976 Å, b = 7.679 Å, c = 7.679 Å
α = 83.97°, β = 71.09°, γ = 71.09°
Fractional positions:
Ti 0.723 0.855 0.700
Ti 0.277 0.145 0.300
Ti 0.777 0.300 0.145
Ti 0.223 0.700 0.855
Ti 0.577 0.700 0.145
Ti 0.423 0.300 0.855
Ti 0.077 0.145 0.700
Ti 0.923 0.855 0.300
Ti 0.750 0.500 0.500
Ti 0.250 0.500 0.500
Ga 0.165 0.500 0.170
Ga 0.835 0.500 0.830
Ga 0.335 0.830 0.500
Ga 0.665 0.170 0.500
Ga 0.250 0.000 0.000
Ga 0.750 0.000 0.000

two) Ti5Ga3: optimized geometry, PBE.

Properties
- Space-group type: P6_3/mcm (193)

a = 7.617 Å, b = 7.617 Å, c = 5.311 Å
α = 90.00°, β = 90.00°, γ = 120.00°
Fractional positions:
Ti 0.762 0.000 0.750
Ti 0.762 0.762 0.250
Ti 0.000 0.238 0.250
Ti 0.000 0.762 0.750
Ti 0.238 0.238 0.750
Ti 0.238 0.000 0.250
Ti 0.333 0.667 0.000
Ti 0.667 0.333 0.500
Ti 0.667 0.333 0.000
Ti 0.333 0.667 0.500
Ga 0.394 0.000 0.750
Ga 0.394 0.394 0.250
Ga 0.000 0.606 0.250
Ga 0.000 0.394 0.750
Ga 0.606 0.606 0.750
Ga 0.606 0.000 0.250

Stability summary: most stable one), least stable two).

one) Gd3InO6: optimized geometry, PBE.

Properties
- Space-group type: Cmc2_1 (36)
- Total magnetic moment: 21.00 μB per formula unit

a = 7.307 Å, b = 7.307 Å, c = 5.679 Å
α = 90.00°, β = 90.00°, γ = 103.00°
Fractional positions:
Gd 0.090 0.300 0.469
Gd 0.300 0.090 0.969
Gd 0.601 0.399 0.420
Gd 0.399 0.601 0.920
Gd 0.700 0.910 0.469
Gd 0.910 0.700 0.969
In 0.810 0.190 0.986
In 0.190 0.810 0.486
O 0.323 0.357 0.196
O 0.357 0.323 0.696
O 0.567 0.102 0.191
O 0.102 0.567 0.691
O 0.972 0.028 0.159
O 0.781 0.219 0.630
O 0.219 0.781 0.130
O 0.028 0.972 0.659
O 0.898 0.433 0.191
O 0.433 0.898 0.691
O 0.677 0.643 0.696
O 0.643 0.677 0.196

two) Gd3InO6: optimized geometry, PBE.

Properties
- Space-group type: R-3 (148)

a = 6.765 Å, b = 6.765 Å, c = 6.765 Å
α = 92.26°, β = 92.26°, γ = 92.26°
Fractional positions:
Gd 0.560 0.068 0.253
Gd 0.068 0.253 0.560
Gd 0.747 0.440 0.932
Gd 0.253 0.560 0.068
Gd 0.932 0.747 0.440
Gd 0.440 0.932 0.747
In 0.000 0.000 0.000
In 0.500 0.500 0.500
O 0.690 0.089 0.932
O 0.911 0.068 0.310
O 0.404 0.189 0.534
O 0.068 0.310 0.911
O 0.534 0.404 0.189
O 0.811 0.466 0.596
O 0.189 0.534 0.404
O 0.466 0.596 0.811
O 0.932 0.690 0.089
O 0.596 0.811 0.466
O 0.089 0.932 0.690
O 0.310 0.911 0.068

Stability summary: most stable two), least stable one).

one) LaGd3: optimized geometry, PBE.

Properties
- Space-group type: I4/mmm (139)

a = 6.293 Å, b = 6.293 Å, c = 6.293 Å
α = 131.79°, β = 131.79°, γ = 70.57°
Fractional positions:
La 0.000 0.000 0.000
Gd 0.750 0.250 0.500
Gd 0.250 0.750 0.500
Gd 0.500 0.500 0.000

two) LaGd3: optimized geometry, PBE.

Properties
- Space-group type: P6_3/mmc (194)

a = 7.371 Å, b = 7.371 Å, c = 5.884 Å
α = 90.00°, β = 90.00°, γ = 120.00°
Fractional positions:
La 0.667 0.333 0.250
La 0.333 0.667 0.750
Gd 0.835 0.165 0.750
Gd 0.331 0.165 0.750
Gd 0.835 0.669 0.750
Gd 0.165 0.835 0.250
Gd 0.669 0.835 0.250
Gd 0.165 0.331 0.250

Stability summary: most stable two), least stable one).

one) Na3GdTi2Nb2O12: optimized geometry, PBE.

Properties
- Space-group type: P1 (1)

a = 5.465 Å, b = 5.588 Å, c = 7.798 Å
α = 89.89°, β = 89.97°, γ = 89.51°
Fractional positions:
Na 0.493 0.525 0.749
Na 0.004 0.018 0.750
Na 0.507 0.467 0.250
Gd 0.992 0.942 0.250
Ti 0.492 0.983 0.007
Ti 0.005 0.479 0.494
Nb 0.495 0.992 0.513
Nb 0.004 0.480 0.987
O 0.567 0.985 0.753
O 0.922 0.490 0.747
O 0.411 0.026 0.247
O 0.074 0.527 0.253
O 0.207 0.802 0.976
O 0.288 0.299 0.536
O 0.800 0.214 0.451
O 0.720 0.734 0.050
O 0.797 0.211 0.049
O 0.723 0.731 0.451
O 0.204 0.799 0.526
O 0.295 0.295 0.962

two) Na3GdTi2Nb2O12: optimized geometry, PBE.

Properties
- Space-group type: P1 (1)
- Total magnetic moment: 7.00 μB per formula unit

a = 5.484 Å, b = 5.608 Å, c = 15.596 Å
α = 90.01°, β = 90.02°, γ = 90.02°
Fractional positions:
Na 0.004 0.977 0.372
Na 0.003 0.977 0.878
Na 0.496 0.477 0.878
Na 0.496 0.477 0.372
Na 0.505 0.526 0.625
Na 0.995 0.026 0.625
Gd 0.509 0.554 0.125
Gd 0.991 0.055 0.125
Ti 0.009 0.523 0.998
Ti 0.490 0.022 0.998
Ti 0.490 0.022 0.252
Ti 0.009 0.522 0.252
Nb 0.001 0.497 0.498
Nb 0.500 0.996 0.752
Nb 0.502 0.998 0.498
Nb 0.998 0.497 0.752
O 0.086 0.466 0.125
O 0.069 0.487 0.625
O 0.209 0.213 0.480
O 0.206 0.196 0.260
O 0.210 0.213 0.770
O 0.206 0.196 0.990
O 0.290 0.713 0.480
O 0.291 0.713 0.770
O 0.295 0.696 0.260
O 0.294 0.696 0.990
O 0.414 0.966 0.125
O 0.431 0.987 0.625
O 0.568 0.014 0.879
O 0.568 0.013 0.371
O 0.710 0.274 0.030
O 0.710 0.274 0.220
O 0.708 0.291 0.516
O 0.709 0.291 0.734
O 0.791 0.774 0.030
O 0.790 0.774 0.220
O 0.791 0.791 0.516
O 0.792 0.791 0.734
O 0.932 0.513 0.371
O 0.932 0.514 0.879

Stability summary: most stable two), least stable one).